(1)
The following is a DFT calculation (r2SCAN) of SmTh after structural relaxation.

* energy relative to the elements: 37 meV per atom

Cell and atoms, written as POSCAR:
```
SmTh
1.0
1.799 1.039 5.820
-1.799 1.039 5.820
0.000 -2.078 5.820
Sm Th
1 1
direct
0.000 0.000 0.000
0.500 0.500 0.500
```


(2)
The following is a DFT calculation (r2SCAN) of SmTl3 after structural relaxation.

* energy relative to the elements: -364 meV per atom

Cell and atoms, written as POSCAR:
```
SmTl3
1.0
4.762 0.000 0.000
0.000 4.762 0.000
0.000 0.000 4.762
Sm Tl
1 3
direct
0.000 0.000 0.000
0.000 0.500 0.500
0.500 0.000 0.500
0.500 0.500 0.000
```


| no. | total magnetization (μB/f.u.) |
| --- | --- |
| 1 | 0.00 |
| 2 | 0.00 |